## Cs2CeAgCl6 (PBE-GGA)

Data for a geometry-optimized Cs2CeAgCl6 structure.

abc: 7.816 7.816 7.816
angles: 60.00 60.00 60.00
Element x y z (fractional)
Cs (0.750, 0.750, 0.750)
Cs (0.250, 0.250, 0.250)
Ce (0.500, 0.500, 0.500)
Ag (0.000, 0.000, 0.000)
Cl (0.749, 0.251, 0.251)
Cl (0.251, 0.251, 0.749)
Cl (0.251, 0.749, 0.749)
Cl (0.251, 0.749, 0.251)
Cl (0.749, 0.251, 0.749)
Cl (0.749, 0.749, 0.251)

Computed properties:
- Total energy: -39.82 eV per cell
- Total energy after the MP2020 corrections: -43.508 eV for the cell shown
- Space-group type: Fm-3m
- Energy relative to the elements: -2.19 eV/atom

## Rb2CeAgCl6 (PBE-GGA)

Data for a geometry-optimized Rb2CeAgCl6 structure.

abc: 7.760 7.760 7.760
angles: 60.00 60.00 60.00
Element x y z (fractional)
Rb (0.750, 0.750, 0.750)
Rb (0.250, 0.250, 0.250)
Ce (0.500, 0.500, 0.500)
Ag (0.000, 0.000, 0.000)
Cl (0.750, 0.250, 0.250)
Cl (0.250, 0.250, 0.750)
Cl (0.250, 0.750, 0.750)
Cl (0.250, 0.750, 0.250)
Cl (0.750, 0.250, 0.750)
Cl (0.750, 0.750, 0.250)

Computed properties:
- Total energy: -39.56 eV per cell
- Total energy after the MP2020 corrections: -43.247 eV for the cell shown
- Space-group type: Fm-3m
- Energy relative to the elements: -2.14 eV/atom